Record 1
DFT (GGA-PBE) results for crystalline LaH4C4NO8 at its relaxed geometry.

## Properties
V ... 11.6 A^3/atom
DFT formation energy ... -1.673 eV/atom

Unit cell a=15.9565 b=5.8852 c=8.8904 alpha=87.91 beta=90.00 gamma=90.00
Closest atoms and distances in Å follow each position.
Sites, in units of the cell vectors:
O  0.4384  0.2410  0.4528  1 C 1.27
O  0.8284  0.1390  0.1049  1 C 1.27
O  0.9697  0.2125  0.5043  1 C 1.28
O  0.3284  0.8610  0.3951  1 C 1.27
O  0.9384  0.7590  0.0472  1 C 1.27
O  0.4743  0.0891  0.6814  1 C 1.27
O  0.7679  0.7491  0.2313  1 C 1.26
O  0.8406  0.7576  0.5697  1 C 1.27
O  0.0616  0.2410  0.9528  1 C 1.27
O  0.2679  0.2509  0.2687  1 C 1.26
O  0.1716  0.8610  0.8951  1 C 1.27
O  0.6594  0.7576  0.0697  1 C 1.27
O  0.5303  0.2125  0.0043  1 C 1.28
O  0.6716  0.1390  0.6049  1 C 1.27
O  0.9743  0.9109  0.8186  1 C 1.27
O  0.2242  0.8558  0.5665  1 C 1.27
O  0.5616  0.7590  0.5472  1 C 1.27
O  0.3406  0.2424  0.9303  1 C 1.27
O  0.5257  0.9109  0.3186  1 C 1.27
O  0.7242  0.1442  0.9335  1 C 1.27
O  0.0257  0.0891  0.1814  1 C 1.27
O  0.9327  0.4996  0.3427  1 C 1.26
O  0.7321  0.7491  0.7313  1 C 1.26
O  0.2321  0.2509  0.7687  1 C 1.26
O  0.4697  0.7875  0.9957  1 C 1.28
O  0.2758  0.8558  0.0665  1 C 1.27
O  0.0303  0.7875  0.4957  1 C 1.28
O  0.0673  0.5004  0.6573  1 C 1.26
O  0.7758  0.1442  0.4335  1 C 1.27
O  0.4327  0.5004  0.1573  1 C 1.26
O  0.5673  0.4996  0.8427  1 C 1.26
O  0.1594  0.2424  0.4303  1 C 1.27
C  0.2729  0.1631  0.8779  2 O 1.26-1.27
C  0.9749  0.9048  0.9613  2 O 1.27
C  0.4749  0.0952  0.5387  2 O 1.27
C  0.2627  0.9406  0.4528  2 O 1.27
C  0.5251  0.9048  0.4613  2 O 1.27
C  0.2373  0.9406  0.9528  2 O 1.27
C  0.5283  0.4193  0.9555  2 O 1.26-1.28
C  0.7373  0.0594  0.5472  2 O 1.27
C  0.7271  0.8369  0.1221  2 O 1.26-1.27
C  0.7627  0.0594  0.0472  2 O 1.27
C  0.4717  0.5807  0.0445  2 O 1.26-1.28
C  0.9717  0.4193  0.4555  2 O 1.26-1.28
C  0.0251  0.0952  0.0387  2 O 1.27
C  0.2271  0.1631  0.3779  2 O 1.26-1.27
C  0.7729  0.8369  0.6221  2 O 1.26-1.27
C  0.0283  0.5807  0.5445  2 O 1.26-1.28
N  0.1327  0.5522  0.1619  4 H 1.03-1.05
N  0.3673  0.5522  0.6619  4 H 1.03-1.05
N  0.8673  0.4478  0.8381  4 H 1.03-1.05
N  0.6327  0.4478  0.3381  4 H 1.03-1.05
La  0.4004  0.0757  0.1786  9 O 2.50-2.73
La  0.0996  0.0757  0.6786  9 O 2.50-2.73
La  0.5996  0.9243  0.8214  9 O 2.50-2.73
La  0.9004  0.9243  0.3214  9 O 2.50-2.73
H  0.8632  0.5466  0.7388  1 N 1.04
H  0.1111  0.4495  0.0759  1 N 1.05
H  0.9090  0.3171  0.8263  1 N 1.03
H  0.1911  0.6207  0.1347  1 N 1.04
H  0.3089  0.6207  0.6347  1 N 1.04
H  0.6911  0.3793  0.3653  1 N 1.04
H  0.5910  0.3171  0.3263  1 N 1.03
H  0.6368  0.5466  0.2388  1 N 1.04
H  0.8889  0.5505  0.9241  1 N 1.05
H  0.1368  0.4534  0.2612  1 N 1.04
H  0.4090  0.6829  0.6737  1 N 1.03
H  0.6111  0.5505  0.4241  1 N 1.05
H  0.3889  0.4495  0.5759  1 N 1.05
H  0.3632  0.4534  0.7612  1 N 1.04
H  0.8089  0.3793  0.8653  1 N 1.04
H  0.0910  0.6829  0.1737  1 N 1.03

=====

Record 2
DFT (GGA-PBE) results for crystalline LaH6C2SNO9 at its relaxed geometry.

## Properties
V ... 11.0 A^3/atom
DFT formation energy ... -1.701 eV/atom

Unit cell a=9.0853 b=6.7320 c=15.4430 alpha=68.53 beta=90.00 gamma=90.00
Closest atoms and distances in Å follow each position.
Sites, in units of the cell vectors:
O  0.7331  0.4313  0.0007  1 S 1.49
O  0.5532  0.3935  0.6573  1 C 1.28
O  0.7288  0.0496  0.0384  1 S 1.49
O  0.3999  0.6576  0.7955  1 C 1.27
O  0.8999  0.3424  0.7045  1 C 1.27
O  0.9447  0.7803  0.1729  1 C 1.27
O  0.5842  0.8094  0.4515  2 H 0.98-0.99
O  0.5553  0.7803  0.6729  1 C 1.27
O  0.6203  0.7195  0.2308  1 C 1.26
O  0.0553  0.2197  0.8271  1 C 1.27
O  0.8043  0.2929  0.3778  1 S 1.48
O  0.2331  0.5687  0.4993  1 S 1.49
O  0.1001  0.6576  0.2955  1 C 1.27
O  0.7712  0.0496  0.5384  1 S 1.49
O  0.0842  0.1906  0.0485  2 H 0.98-0.99
O  0.0532  0.6065  0.8427  1 C 1.28
O  0.0024  0.7460  0.5067  1 S 1.50
O  0.3043  0.7071  0.1222  1 S 1.48
O  0.4468  0.6065  0.3427  1 C 1.28
O  0.9158  0.8094  0.9515  2 H 0.98-0.99
O  0.9976  0.2540  0.4933  1 S 1.50
O  0.3797  0.2805  0.7692  1 C 1.26
O  0.6001  0.3424  0.2045  1 C 1.27
O  0.7669  0.4313  0.5007  1 S 1.49
O  0.4976  0.7460  0.0067  1 S 1.50
O  0.2669  0.5687  0.9993  1 S 1.49
O  0.1957  0.7071  0.6222  1 S 1.48
O  0.4158  0.1906  0.5485  2 H 0.98-0.99
O  0.5024  0.2540  0.9933  1 S 1.50
O  0.4447  0.2197  0.3271  1 C 1.27
O  0.8797  0.7195  0.7308  1 C 1.26
O  0.6957  0.2929  0.8778  1 S 1.48
O  0.1203  0.2805  0.2692  1 C 1.26
O  0.2288  0.9504  0.4616  1 S 1.49
O  0.9468  0.3935  0.1573  1 C 1.28
O  0.2712  0.9504  0.9616  1 S 1.49
S  0.6650  0.2572  0.9764  4 O 1.48-1.50
S  0.8350  0.2572  0.4764  4 O 1.48-1.50
S  0.1650  0.7428  0.5236  4 O 1.48-1.50
S  0.3350  0.7428  0.0236  4 O 1.48-1.50
C  0.9741  0.3619  0.7705  2 O 1.27
C  0.9675  0.5810  0.7822  2 O 1.26-1.28
C  0.0325  0.4190  0.2178  2 O 1.26-1.28
C  0.4741  0.6381  0.7295  2 O 1.27
C  0.5259  0.3619  0.2705  2 O 1.27
C  0.5325  0.5810  0.2822  2 O 1.26-1.28
C  0.0259  0.6381  0.2295  2 O 1.27
C  0.4675  0.4190  0.7178  2 O 1.26-1.28
La  0.7642  0.6620  0.5907  8 O 2.43-2.59
La  0.7358  0.6620  0.0907  8 O 2.43-2.59
La  0.2358  0.3380  0.4093  8 O 2.43-2.59
La  0.2642  0.3380  0.9093  8 O 2.43-2.59
H  0.9654  0.9484  0.9267  1 O 0.98
H  0.3678  0.9581  0.2599  1 N 1.03
H  0.8115  0.0816  0.3376  1 N 1.05
H  0.4654  0.0516  0.5733  1 O 0.98
H  0.4470  0.0944  0.1578  1 N 1.03
H  0.7748  0.8470  0.3202  1 N 1.03
H  0.5315  0.7202  0.4229  1 O 0.99
H  0.0346  0.0516  0.0733  1 O 0.98
H  0.2748  0.1530  0.1798  1 N 1.03
H  0.9685  0.7202  0.9229  1 O 0.99
H  0.6322  0.0419  0.7401  1 N 1.03
H  0.8678  0.0419  0.2401  1 N 1.03
H  0.5530  0.9056  0.8422  1 N 1.03
H  0.3115  0.9184  0.1624  1 N 1.05
H  0.2252  0.1530  0.6798  1 N 1.03
H  0.6885  0.0816  0.8376  1 N 1.05
H  0.1322  0.9581  0.7599  1 N 1.03
H  0.1885  0.9184  0.6624  1 N 1.05
H  0.7252  0.8470  0.8202  1 N 1.03
H  0.5346  0.9484  0.4267  1 O 0.98
H  0.0315  0.2798  0.0771  1 O 0.99
H  0.0530  0.0944  0.6578  1 N 1.03
H  0.4685  0.2798  0.5771  1 O 0.99
H  0.9470  0.9056  0.3422  1 N 1.03
N  0.1509  0.0315  0.6897  4 H 1.03-1.05
N  0.6509  0.9685  0.8103  4 H 1.03-1.05
N  0.8491  0.9685  0.3103  4 H 1.03-1.05
N  0.3491  0.0315  0.1897  4 H 1.03-1.05

=====

Record 3
DFT (GGA-PBE) results for crystalline Na2LaH2C5O11 at its relaxed geometry.

## Properties
V ... 13.3 A^3/atom
DFT formation energy ... -1.980 eV/atom

Unit cell a=11.8215 b=7.9101 c=13.1666 alpha=64.76 beta=90.00 gamma=90.00
Closest atoms and distances in Å follow each position.
Sites, in units of the cell vectors:
O  0.1006  0.7400  0.6982  1 C 1.27
O  0.7804  0.4657  0.9524  1 C 1.26
O  0.5739  0.6134  0.2455  1 C 1.27
O  0.2196  0.5343  0.0476  1 C 1.26
O  0.3840  0.0466  0.5695  1 C 1.28
O  0.9771  0.2382  0.9663  1 C 1.26
O  0.7237  0.1000  0.0335  1 C 1.27
O  0.4935  0.2975  0.2343  1 C 1.27
O  0.4261  0.3866  0.7545  1 C 1.27
O  0.2176  0.5298  0.3875  1 C 1.27
O  0.8840  0.9534  0.9305  1 C 1.28
O  0.3839  0.1384  0.0959  2 H 0.98-0.99
O  0.6843  0.6109  0.7505  1 C 1.27
O  0.7967  0.0932  0.7064  1 C 1.27
O  0.7176  0.4702  0.1125  1 C 1.27
O  0.2824  0.5298  0.8875  1 C 1.27
O  0.9261  0.6134  0.7455  1 C 1.27
O  0.9935  0.7025  0.2657  1 C 1.27
O  0.4771  0.7618  0.5337  1 C 1.26
O  0.1161  0.1384  0.5959  2 H 0.98-0.99
O  0.6161  0.8616  0.9041  2 H 0.98-0.99
O  0.5229  0.2382  0.4663  1 C 1.26
O  0.1843  0.3891  0.7495  1 C 1.27
O  0.2804  0.5343  0.5476  1 C 1.26
O  0.3994  0.7400  0.1982  1 C 1.27
O  0.2033  0.9068  0.2936  1 C 1.27
O  0.1160  0.0466  0.0695  1 C 1.28
O  0.8994  0.2600  0.3018  1 C 1.27
O  0.3157  0.3891  0.2495  1 C 1.27
O  0.2967  0.9068  0.7936  1 C 1.27
O  0.8839  0.8616  0.4041  2 H 0.98-0.99
O  0.7824  0.4702  0.6125  1 C 1.27
O  0.7196  0.4657  0.4524  1 C 1.26
O  0.2237  0.9000  0.4665  1 C 1.27
O  0.0739  0.3866  0.2545  1 C 1.27
O  0.7033  0.0932  0.2064  1 C 1.27
O  0.0065  0.2975  0.7343  1 C 1.27
O  0.7763  0.1000  0.5335  1 C 1.27
O  0.2763  0.9000  0.9665  1 C 1.27
O  0.5065  0.7025  0.7657  1 C 1.27
O  0.0229  0.7618  0.0337  1 C 1.26
O  0.8157  0.6109  0.2505  1 C 1.27
O  0.6006  0.2600  0.8018  1 C 1.27
O  0.6160  0.9534  0.4305  1 C 1.28
C  0.5784  0.5867  0.7611  2 O 1.27
C  0.7421  0.3882  0.0511  2 O 1.26-1.27
C  0.2215  0.8254  0.3985  2 O 1.27
C  0.4687  0.6055  0.2272  2 O 1.27
C  0.2421  0.6118  0.4489  2 O 1.26-1.27
C  0.7215  0.1746  0.1015  2 O 1.27
C  0.2785  0.8254  0.8985  2 O 1.27
C  0.7785  0.1746  0.6015  2 O 1.27
C  0.9739  0.9176  0.9900  2 O 1.26-1.28
C  0.5261  0.9176  0.4900  2 O 1.26-1.28
C  0.4739  0.0824  0.5100  2 O 1.26-1.28
C  0.0313  0.6055  0.7272  2 O 1.27
C  0.0784  0.4133  0.7389  2 O 1.27
C  0.9216  0.5867  0.2611  2 O 1.27
C  0.4216  0.4133  0.2389  2 O 1.27
C  0.5313  0.3945  0.7728  2 O 1.27
C  0.9687  0.3945  0.2728  2 O 1.27
C  0.2579  0.6118  0.9489  2 O 1.26-1.27
C  0.7579  0.3882  0.5511  2 O 1.26-1.27
C  0.0261  0.0824  0.0100  2 O 1.26-1.28
H  0.4339  0.2003  0.1290  1 O 0.98
H  0.5991  0.9957  0.8622  1 O 0.99
H  0.0661  0.2003  0.6290  1 O 0.98
H  0.9339  0.7997  0.3710  1 O 0.98
H  0.9009  0.9957  0.3622  1 O 0.99
H  0.5661  0.7997  0.8710  1 O 0.98
H  0.0991  0.0043  0.6378  1 O 0.99
H  0.4009  0.0043  0.1378  1 O 0.99
La  0.6854  0.2959  0.3259  10 O 2.57-2.73
La  0.3146  0.7041  0.6741  10 O 2.57-2.73
La  0.1854  0.7041  0.1741  10 O 2.57-2.73
La  0.8146  0.2959  0.8259  10 O 2.57-2.73
Na  0.8114  0.7792  0.8336  5 O 2.33-2.54
Na  0.7066  0.7834  0.0747  4 O 2.31-2.49
Na  0.7934  0.7834  0.5747  4 O 2.31-2.49
Na  0.2066  0.2166  0.4253  4 O 2.31-2.49
Na  0.3114  0.2208  0.6664  5 O 2.33-2.54
Na  0.1886  0.2208  0.1664  5 O 2.33-2.54
Na  0.2934  0.2166  0.9253  4 O 2.31-2.49
Na  0.6886  0.7792  0.3336  5 O 2.33-2.54